# 1
# HoSnPd2 PBE optimized geometry
# crystal system	cubic
# formation energy from the elements	-0.885	eV per atom
data_HoSnPd2
_symmetry_space_group_name_H-M 'F m -3 m'
_symmetry_Int_Tables_number 225
_symmetry_space_group_name_Hall '-F 4 2 3'
_cell_length_a 6.7836
_cell_length_b 6.7836
_cell_length_c 6.7836
_cell_angle_alpha 90.00
_cell_angle_beta 90.00
_cell_angle_gamma 90.00
loop_
_atom_site_label
_atom_site_type_symbol
_atom_site_fract_x
_atom_site_fract_y
_atom_site_fract_z
_atom_site_occupancy
Ho1 Ho 0.0000 0.0000 0.0000 1
Sn1 Sn 0.0000 0.0000 0.5000 1
Pd1 Pd 0.2500 0.2500 0.2500 1

# 2
# Ho2ZnPd PBE optimized geometry
# crystal system	cubic
# formation energy from the elements	-0.624	eV per atom
# magnetization	0.0	μB/f.u.
data_Ho2ZnPd
_symmetry_space_group_name_H-M 'F m -3 m'
_symmetry_Int_Tables_number 225
_symmetry_space_group_name_Hall '-F 4 2 3'
_cell_length_a 7.0232
_cell_length_b 7.0232
_cell_length_c 7.0232
_cell_angle_alpha 90.00
_cell_angle_beta 90.00
_cell_angle_gamma 90.00
loop_
_atom_site_label
_atom_site_type_symbol
_atom_site_fract_x
_atom_site_fract_y
_atom_site_fract_z
_atom_site_occupancy
Ho1 Ho 0.2500 0.2500 0.2500 1
Zn1 Zn 0.0000 0.0000 0.0000 1
Pd1 Pd 0.0000 0.0000 0.5000 1

# 3
# HoZnPd2 PBE optimized geometry
# crystal system	cubic
# formation energy from the elements	-0.753	eV per atom
# magnetization	0.0	μB/f.u.
data_HoZnPd2
_symmetry_space_group_name_H-M 'F m -3 m'
_symmetry_Int_Tables_number 225
_symmetry_space_group_name_Hall '-F 4 2 3'
_cell_length_a 6.6032
_cell_length_b 6.6032
_cell_length_c 6.6032
_cell_angle_alpha 90.00
_cell_angle_beta 90.00
_cell_angle_gamma 90.00
loop_
_atom_site_label
_atom_site_type_symbol
_atom_site_fract_x
_atom_site_fract_y
_atom_site_fract_z
_atom_site_occupancy
Ho1 Ho 0.0000 0.0000 0.0000 1
Zn1 Zn 0.0000 0.0000 0.5000 1
Pd1 Pd 0.2500 0.2500 0.2500 1

# 4
# HoZnPd PBE optimized geometry
# crystal system	hexagonal
# formation energy from the elements	-0.762	eV per atom
data_HoZnPd
_symmetry_space_group_name_H-M 'P -6 2 m'
_symmetry_Int_Tables_number 189
_symmetry_space_group_name_Hall 'P -6 -2'
_cell_length_a 7.2890
_cell_length_b 7.2890
_cell_length_c 3.8357
_cell_angle_alpha 90.00
_cell_angle_beta 90.00
_cell_angle_gamma 120.00
loop_
_atom_site_label
_atom_site_type_symbol
_atom_site_fract_x
_atom_site_fract_y
_atom_site_fract_z
_atom_site_occupancy
Ho1 Ho 0.0000 0.5951 0.0000 1
Zn1 Zn 0.0000 0.2511 0.5000 1
Pd1 Pd 0.0000 0.0000 0.0000 1
Pd2 Pd 0.3333 0.6667 0.5000 1

# 5
# Pm3Ho PBE optimized geometry
# crystal system	tetragonal
# formation energy from the elements	0.017	eV per atom
data_Pm3Ho
_symmetry_space_group_name_H-M 'I 4/m m m'
_symmetry_Int_Tables_number 139
_symmetry_space_group_name_Hall '-I 4 2'
_cell_length_a 5.1125
_cell_length_b 5.1125
_cell_length_c 10.3231
_cell_angle_alpha 90.00
_cell_angle_beta 90.00
_cell_angle_gamma 90.00
loop_
_atom_site_label
_atom_site_type_symbol
_atom_site_fract_x
_atom_site_fract_y
_atom_site_fract_z
_atom_site_occupancy
Pm1 Pm 0.0000 0.0000 0.0000 1
Pm2 Pm 0.0000 0.5000 0.2500 1
Ho1 Ho 0.0000 0.0000 0.5000 1

# 6
# PmHo3 PBE optimized geometry
# crystal system	cubic
# formation energy from the elements	0.021	eV per atom
data_PmHo3
_symmetry_space_group_name_H-M 'P m -3 m'
_symmetry_Int_Tables_number 221
_symmetry_space_group_name_Hall '-P 4 2 3'
_cell_length_a 5.0258
_cell_length_b 5.0258
_cell_length_c 5.0258
_cell_angle_alpha 90.00
_cell_angle_beta 90.00
_cell_angle_gamma 90.00
loop_
_atom_site_label
_atom_site_type_symbol
_atom_site_fract_x
_atom_site_fract_y
_atom_site_fract_z
_atom_site_occupancy
Pm1 Pm 0.0000 0.0000 0.0000 1
Ho1 Ho 0.0000 0.5000 0.5000 1

# 7
# PmHo3 PBE optimized geometry
# crystal system	tetragonal
# formation energy from the elements	0.025	eV per atom
data_PmHo3
_symmetry_space_group_name_H-M 'I 4/m m m'
_symmetry_Int_Tables_number 139
_symmetry_space_group_name_Hall '-I 4 2'
_cell_length_a 5.0286
_cell_length_b 5.0286
_cell_length_c 10.0920
_cell_angle_alpha 90.00
_cell_angle_beta 90.00
_cell_angle_gamma 90.00
loop_
_atom_site_label
_atom_site_type_symbol
_atom_site_fract_x
_atom_site_fract_y
_atom_site_fract_z
_atom_site_occupancy
Pm1 Pm 0.0000 0.0000 0.0000 1
Ho1 Ho 0.0000 0.0000 0.5000 1
Ho2 Ho 0.0000 0.5000 0.2500 1

# 8
# Pm3Ho PBE optimized geometry
# crystal system	hexagonal
# formation energy from the elements	0.025	eV per atom
data_Pm3Ho
_symmetry_space_group_name_H-M 'P 63/m m c'
_symmetry_Int_Tables_number 194
_symmetry_space_group_name_Hall '-P 6c 2c'
_cell_length_a 7.3010
_cell_length_b 7.3010
_cell_length_c 5.9244
_cell_angle_alpha 90.00
_cell_angle_beta 90.00
_cell_angle_gamma 120.00
loop_
_atom_site_label
_atom_site_type_symbol
_atom_site_fract_x
_atom_site_fract_y
_atom_site_fract_z
_atom_site_occupancy
Pm1 Pm 0.1675 0.3350 0.2500 1
Ho1 Ho 0.3333 0.6667 0.7500 1

# 9
# PmHo3 PBE optimized geometry
# crystal system	hexagonal
# formation energy from the elements	0.018	eV per atom
data_PmHo3
_symmetry_space_group_name_H-M 'P 63/m m c'
_symmetry_Int_Tables_number 194
_symmetry_space_group_name_Hall '-P 6c 2c'
_cell_length_a 7.2579
_cell_length_b 7.2579
_cell_length_c 5.6930
_cell_angle_alpha 90.00
_cell_angle_beta 90.00
_cell_angle_gamma 120.00
loop_
_atom_site_label
_atom_site_type_symbol
_atom_site_fract_x
_atom_site_fract_y
_atom_site_fract_z
_atom_site_occupancy
Pm1 Pm 0.3333 0.6667 0.2500 1
Ho1 Ho 0.1655 0.3309 0.7500 1

# 10
# PmHo PBE optimized geometry
# crystal system	hexagonal
# formation energy from the elements	0.026	eV per atom
data_PmHo
_symmetry_space_group_name_H-M 'P -6 m 2'
_symmetry_Int_Tables_number 187
_symmetry_space_group_name_Hall 'P -6 2'
_cell_length_a 3.6431
_cell_length_b 3.6431
_cell_length_c 5.7688
_cell_angle_alpha 90.00
_cell_angle_beta 90.00
_cell_angle_gamma 120.00
loop_
_atom_site_label
_atom_site_type_symbol
_atom_site_fract_x
_atom_site_fract_y
_atom_site_fract_z
_atom_site_occupancy
Pm1 Pm 0.0000 0.0000 0.0000 1
Ho1 Ho 0.3333 0.6667 0.5000 1

# 11
# PmHoTl2 PBE optimized geometry
# crystal system	cubic
# formation energy from the elements	-0.355	eV per atom
data_PmHoTl2
_symmetry_space_group_name_H-M 'F m -3 m'
_symmetry_Int_Tables_number 225
_symmetry_space_group_name_Hall '-F 4 2 3'
_cell_length_a 7.6753
_cell_length_b 7.6753
_cell_length_c 7.6753
_cell_angle_alpha 90.00
_cell_angle_beta 90.00
_cell_angle_gamma 90.00
loop_
_atom_site_label
_atom_site_type_symbol
_atom_site_fract_x
_atom_site_fract_y
_atom_site_fract_z
_atom_site_occupancy
Pm1 Pm 0.0000 0.0000 0.0000 1
Ho1 Ho 0.0000 0.0000 0.5000 1
Tl1 Tl 0.2500 0.2500 0.2500 1

# 12
# PmHoZn2 PBE optimized geometry
# crystal system	cubic
# formation energy from the elements	-0.332	eV per atom
data_PmHoZn2
_symmetry_space_group_name_H-M 'F m -3 m'
_symmetry_Int_Tables_number 225
_symmetry_space_group_name_Hall '-F 4 2 3'
_cell_length_a 7.2038
_cell_length_b 7.2038
_cell_length_c 7.2038
_cell_angle_alpha 90.00
_cell_angle_beta 90.00
_cell_angle_gamma 90.00
loop_
_atom_site_label
_atom_site_type_symbol
_atom_site_fract_x
_atom_site_fract_y
_atom_site_fract_z
_atom_site_occupancy
Pm1 Pm 0.0000 0.0000 0.0000 1
Ho1 Ho 0.0000 0.0000 0.5000 1
Zn1 Zn 0.2500 0.2500 0.2500 1

Look up the formation energy from the elements of the twelfth one. -0.332 eV per atom